VASP calculation (meta-GGA r2SCAN) on a geometry-optimized Ce2Zr2O7 structure. Values from VASP.

Properties
As for the space group: C2/m, No. 12. The value obtained for the formation energy is -3808 meV per atom.

Cell and atoms, written as Quantum ESPRESSO input:
```
&SYSTEM
  ibrav = 0, nat = 22, ntyp = 3
/
ATOMIC_SPECIES
Ce 140.12 Ce.upf
Zr 91.22 Zr.upf
O 16.00 O.upf
CELL_PARAMETERS angstrom
6.577 -3.799 0.000
6.577 3.799 0.000
-4.386 0.000 6.204
ATOMIC_POSITIONS crystal
Ce 0.000 0.000 0.000
Ce 0.000 0.000 0.500
Ce 0.000 0.500 0.000
Ce 0.500 0.000 0.000
Zr 0.000 0.500 0.500
Zr 0.500 0.000 0.500
Zr 0.500 0.500 0.000
Zr 0.500 0.500 0.500
O 0.125 0.125 0.875
O 0.167 0.167 0.416
O 0.167 0.583 0.834
O 0.167 0.584 0.417
O 0.416 0.833 0.583
O 0.417 0.417 0.167
O 0.417 0.833 0.166
O 0.583 0.167 0.834
O 0.583 0.583 0.833
O 0.584 0.167 0.417
O 0.833 0.416 0.583
O 0.833 0.417 0.166
O 0.833 0.833 0.584
O 0.875 0.875 0.125
```